# Mo2H37C12N3Cl8

A relaxed Mo2H37C12N3Cl8 crystal (PBE, Materials Project).

E (MP2020) ... -5.184 eV per atom
Calculated formation energy ... -0.3817 eV/atom
Symmetry ... Pnma

a = 25.229 Å, b = 9.905 Å, c = 12.053 Å
α = 90.00°, β = 90.00°, γ = 90.00°
Fractional positions:
Mo  0.102  0.250  0.226
Mo  0.189  0.250  0.306
Mo  0.311  0.750  0.806
Mo  0.398  0.750  0.726
Mo  0.602  0.250  0.274
Mo  0.689  0.250  0.194
Mo  0.811  0.750  0.694
Mo  0.898  0.750  0.774
H  0.001  0.750  0.520
H  0.023  0.659  0.399
H  0.023  0.841  0.399
H  0.026  0.750  0.094
H  0.031  0.631  0.920
H  0.031  0.869  0.920
H  0.061  0.626  0.630
H  0.061  0.874  0.630
H  0.083  0.659  0.145
H  0.083  0.841  0.145
H  0.086  0.537  0.974
H  0.086  0.963  0.974
H  0.088  0.538  0.511
H  0.088  0.962  0.511
H  0.092  0.627  0.844
H  0.092  0.873  0.844
H  0.117  0.658  0.353
H  0.117  0.842  0.353
H  0.124  0.250  0.369
H  0.132  0.129  0.805
H  0.132  0.371  0.805
H  0.132  0.631  0.599
H  0.132  0.869  0.599
H  0.163  0.750  0.438
H  0.165  0.128  0.670
H  0.165  0.372  0.670
H  0.165  0.659  0.037
H  0.165  0.841  0.037
H  0.168  0.750  0.909
H  0.172  0.250  0.957
H  0.193  0.037  0.784
H  0.193  0.463  0.784
H  0.226  0.659  0.255
H  0.226  0.841  0.255
H  0.233  0.159  0.936
H  0.233  0.341  0.936
H  0.244  0.250  0.642
H  0.256  0.750  0.142
H  0.267  0.659  0.436
H  0.267  0.841  0.436
H  0.274  0.159  0.755
H  0.274  0.341  0.755
H  0.307  0.537  0.284
H  0.307  0.963  0.284
H  0.328  0.750  0.457
H  0.332  0.250  0.409
H  0.335  0.159  0.537
H  0.335  0.341  0.537
H  0.335  0.628  0.170
H  0.335  0.872  0.170
H  0.337  0.250  0.938
H  0.368  0.131  0.099
H  0.368  0.369  0.099
H  0.368  0.629  0.305
H  0.368  0.871  0.305
H  0.376  0.750  0.869
H  0.383  0.158  0.853
H  0.383  0.342  0.853
H  0.408  0.127  0.344
H  0.408  0.373  0.344
H  0.412  0.038  0.011
H  0.412  0.462  0.011
H  0.414  0.037  0.474
H  0.414  0.463  0.474
H  0.417  0.159  0.645
H  0.417  0.341  0.645
H  0.439  0.126  0.130
H  0.439  0.374  0.130
H  0.469  0.131  0.420
H  0.469  0.369  0.420
H  0.474  0.250  0.594
H  0.477  0.159  0.899
H  0.477  0.341  0.899
H  0.499  0.250  0.020
H  0.501  0.750  0.980
H  0.523  0.659  0.101
H  0.523  0.841  0.101
H  0.526  0.750  0.406
H  0.531  0.631  0.580
H  0.531  0.869  0.580
H  0.561  0.626  0.870
H  0.561  0.874  0.870
H  0.583  0.659  0.355
H  0.583  0.841  0.355
H  0.586  0.537  0.526
H  0.586  0.963  0.526
H  0.588  0.538  0.989
H  0.588  0.962  0.989
H  0.592  0.627  0.656
H  0.592  0.873  0.656
H  0.617  0.658  0.147
H  0.617  0.842  0.147
H  0.624  0.250  0.131
H  0.632  0.129  0.695
H  0.632  0.371  0.695
H  0.632  0.631  0.901
H  0.632  0.869  0.901
H  0.663  0.750  0.062
H  0.665  0.128  0.830
H  0.665  0.372  0.830
H  0.665  0.659  0.463
H  0.665  0.841  0.463
H  0.668  0.750  0.591
H  0.672  0.250  0.543
H  0.693  0.037  0.716
H  0.693  0.463  0.716
H  0.726  0.659  0.245
H  0.726  0.841  0.245
H  0.733  0.159  0.564
H  0.733  0.341  0.564
H  0.744  0.250  0.858
H  0.756  0.750  0.358
H  0.767  0.659  0.064
H  0.767  0.841  0.064
H  0.774  0.159  0.745
H  0.774  0.341  0.745
H  0.807  0.537  0.216
H  0.807  0.963  0.216
H  0.828  0.750  0.043
H  0.832  0.250  0.091
H  0.835  0.159  0.963
H  0.835  0.341  0.963
H  0.835  0.628  0.330
H  0.835  0.872  0.330
H  0.837  0.250  0.562
H  0.868  0.131  0.401
H  0.868  0.369  0.401
H  0.868  0.629  0.195
H  0.868  0.871  0.195
H  0.876  0.750  0.631
H  0.883  0.158  0.647
H  0.883  0.342  0.647
H  0.908  0.127  0.156
H  0.908  0.373  0.156
H  0.912  0.038  0.489
H  0.912  0.462  0.489
H  0.914  0.037  0.026
H  0.914  0.463  0.026
H  0.917  0.159  0.855
H  0.917  0.341  0.855
H  0.939  0.126  0.370
H  0.939  0.374  0.370
H  0.969  0.131  0.080
H  0.969  0.369  0.080
H  0.974  0.250  0.906
H  0.977  0.159  0.601
H  0.977  0.341  0.601
H  0.999  0.250  0.480
C  0.028  0.750  0.450
C  0.070  0.750  0.102
C  0.074  0.627  0.927
C  0.074  0.873  0.927
C  0.092  0.626  0.565
C  0.092  0.874  0.565
C  0.123  0.750  0.402
C  0.152  0.750  0.993
C  0.170  0.126  0.760
C  0.170  0.374  0.760
C  0.211  0.250  0.915
C  0.247  0.750  0.231
C  0.253  0.250  0.731
C  0.289  0.750  0.415
C  0.330  0.626  0.260
C  0.330  0.874  0.260
C  0.348  0.250  0.493
C  0.377  0.250  0.902
C  0.408  0.126  0.065
C  0.408  0.374  0.065
C  0.426  0.127  0.427
C  0.426  0.373  0.427
C  0.430  0.250  0.602
C  0.472  0.250  0.950
C  0.528  0.750  0.050
C  0.570  0.750  0.398
C  0.574  0.627  0.573
C  0.574  0.873  0.573
C  0.592  0.626  0.935
C  0.592  0.874  0.935
C  0.623  0.750  0.098
C  0.652  0.750  0.507
C  0.670  0.126  0.740
C  0.670  0.374  0.740
C  0.711  0.250  0.585
C  0.747  0.750  0.269
C  0.753  0.250  0.769
C  0.789  0.750  0.085
C  0.830  0.626  0.240
C  0.830  0.874  0.240
C  0.848  0.250  0.007
C  0.877  0.250  0.598
C  0.908  0.126  0.435
C  0.908  0.374  0.435
C  0.926  0.127  0.073
C  0.926  0.373  0.073
C  0.930  0.250  0.898
C  0.972  0.250  0.550
N  0.084  0.750  0.495
N  0.093  0.750  0.987
N  0.201  0.250  0.792
N  0.299  0.750  0.292
N  0.407  0.250  0.487
N  0.416  0.250  0.995
N  0.584  0.750  0.005
N  0.593  0.750  0.513
N  0.701  0.250  0.708
N  0.799  0.750  0.208
N  0.907  0.250  0.013
N  0.916  0.250  0.505
Cl  0.040  0.075  0.286
Cl  0.040  0.425  0.286
Cl  0.067  0.250  0.028
Cl  0.166  0.075  0.164
Cl  0.166  0.425  0.164
Cl  0.209  0.077  0.440
Cl  0.209  0.423  0.440
Cl  0.218  0.750  0.723
Cl  0.282  0.250  0.223
Cl  0.291  0.577  0.940
Cl  0.291  0.923  0.940
Cl  0.334  0.575  0.664
Cl  0.334  0.925  0.664
Cl  0.433  0.750  0.528
Cl  0.460  0.575  0.786
Cl  0.460  0.925  0.786
Cl  0.540  0.075  0.214
Cl  0.540  0.425  0.214
Cl  0.567  0.250  0.472
Cl  0.666  0.075  0.336
Cl  0.666  0.425  0.336
Cl  0.709  0.077  0.060
Cl  0.709  0.423  0.060
Cl  0.718  0.750  0.777
Cl  0.782  0.250  0.277
Cl  0.791  0.577  0.560
Cl  0.791  0.923  0.560
Cl  0.834  0.575  0.836
Cl  0.834  0.925  0.836
Cl  0.933  0.750  0.972
Cl  0.960  0.575  0.714
Cl  0.960  0.925  0.714